Density functional theory data (PBE) for an optimized crystal structure of Sn.

## Properties
Volume   27.82 Å³ per atom
Total DFT energy (no corrections)   -3.95 eV for the cell shown
Energy of formation   63 meV per atom
Energy above the most stable polymorph in this dataset   0.063 eV per atom

```
1
Lattice="-2.021 2.021 1.702 2.021 -2.021 1.702 2.021 2.021 -1.702" Properties=species:S:1:pos:R:3 pbc="T T T"
Sn 0.000 0.000 0.000
```

Density functional theory data (PBE) for an optimized crystal structure of BaF2.

## Properties
Volume   17.81 Å³ per atom
Total DFT energy (no corrections)   -33.80 eV for the cell shown
Energy of formation   -4026 meV per atom
M_tot   0.00 μB per formula unit
Energy above the most stable polymorph in this dataset   0.136 eV per atom
Total energy after the MP2020 corrections   -5.94 eV per atom

```
6
Lattice="4.455 0.000 0.000 -2.228 3.858 0.000 0.000 0.000 6.217" Properties=species:S:1:pos:R:3 pbc="T T T"
Ba 0.000 2.572 1.554
Ba 2.228 1.286 4.663
F 0.000 0.000 0.000
F 0.000 0.000 3.108
F 0.000 2.572 4.663
F 2.228 1.286 1.554
```

Density functional theory data (PBE) for an optimized crystal structure of ErSi2Rh3.

## Properties
Volume   16.14 Å³ per atom
Total DFT energy (no corrections)   -43.58 eV for the cell shown
Energy of formation   -1012 meV per atom
M_tot   0.00 μB per formula unit

```
6
Lattice="5.509 0.000 0.000 -2.754 4.771 0.000 0.000 0.000 3.685" Properties=species:S:1:pos:R:3 pbc="T T T"
Er 0.000 0.000 0.000
Si 0.000 3.181 0.000
Si 2.754 1.590 0.000
Rh -1.377 2.385 1.842
Rh 2.754 0.000 1.842
Rh 1.377 2.385 1.842
```

Density functional theory data (PBE) for an optimized crystal structure of Hf3Pt.

## Properties
Volume   19.95 Å³ per atom
Total DFT energy (no corrections)   -74.99 eV for the cell shown
Energy of formation   -387 meV per atom
M_tot   0.00 μB per formula unit

```
8
Lattice="5.989 0.000 0.000 -2.994 5.186 0.000 0.000 0.000 5.140" Properties=species:S:1:pos:R:3 pbc="T T T"
Hf 0.000 1.781 1.285
Hf -1.452 4.296 1.285
Hf 1.543 0.891 3.855
Hf 1.452 4.296 1.285
Hf 4.446 0.891 3.855
Hf 2.994 3.405 3.855
Pt 0.000 3.457 3.855
Pt 2.994 1.729 1.285
```

Density functional theory data (PBE) for an optimized crystal structure of CeSe2.

## Properties
Volume   94.82 Å³ per atom
Total DFT energy (no corrections)   -259.54 eV for the cell shown
Energy of formation   -1414 meV per atom
M_tot   0.00 μB per formula unit
Total energy after the MP2020 corrections   -5.72 eV per atom

```
48
Lattice="-11.388 11.388 8.774 11.388 -11.388 8.774 11.388 11.388 -8.774" Properties=species:S:1:pos:R:3 pbc="T T T"
Ce 15.698 4.309 -2.502
Ce 11.388 -3.307 4.387
Ce 4.309 7.078 -2.502
Ce 8.080 0.000 4.387
Ce 14.695 0.000 4.387
Ce 15.698 4.309 2.502
Ce 11.388 3.307 4.387
Ce 4.309 7.078 2.502
Ce 7.079 4.310 6.271
Ce 0.000 8.080 4.387
Ce -4.310 7.079 6.271
Ce -3.307 11.388 4.387
Ce 3.307 11.388 4.387
Ce 7.079 4.310 11.276
Ce 0.000 14.695 4.387
Ce -4.310 7.079 11.276
Se 5.694 5.694 -4.387
Se 5.694 -5.694 4.387
Se 13.029 4.789 -2.797
Se 6.599 -1.641 2.798
Se 13.099 -1.711 2.982
Se 13.028 -4.789 5.976
Se 16.474 5.065 0.000
Se 16.177 1.641 2.798
Se 9.677 1.711 2.982
Se 9.677 -1.711 5.791
Se 4.789 9.747 -2.797
Se 5.065 6.302 0.000
Se 13.029 4.789 2.797
Se 13.099 1.711 5.791
Se 6.599 1.641 5.976
Se 1.641 6.599 2.798
Se -5.694 5.694 4.387
Se 5.694 5.694 4.387
Se 9.747 4.789 5.976
Se 4.789 9.747 2.797
Se -1.711 9.677 2.982
Se -1.641 6.599 5.976
Se 6.323 5.086 8.774
Se 6.599 1.641 11.571
Se 1.711 13.099 2.982
Se 1.711 9.677 5.791
Se -4.789 9.747 5.976
Se -5.086 6.323 8.774
Se -1.641 16.177 2.798
Se -1.711 13.099 5.791
Se 4.789 13.028 5.976
Se -1.641 6.599 11.571
```

Density functional theory data (PBE) for an optimized crystal structure of NaZnSnPS2O12.

## Properties
Volume   13.93 Å³ per atom
Total DFT energy (no corrections)   -655.03 eV for the cell shown
Energy of formation   -2098 meV per atom
M_tot   0.00 μB per formula unit
Total energy after the MP2020 corrections   -6.52 eV per atom

```
108
Lattice="7.554 -4.356 0.000 7.554 4.356 0.000 -0.062 0.000 22.861" Properties=species:S:1:pos:R:3 pbc="T T T"
Na 7.554 4.354 0.000
Na 7.523 -4.354 11.430
Na 5.040 0.065 7.623
Na 5.009 -0.065 19.053
Na 10.160 0.085 15.240
Na 10.192 -0.085 3.809
Zn 0.030 0.003 19.557
Zn 0.062 -0.003 8.127
Zn 5.016 0.103 4.332
Zn 4.985 -0.103 15.762
Zn 10.278 0.023 11.935
Zn 10.309 -0.023 0.504
Sn 0.037 0.006 14.944
Sn 0.069 -0.006 3.514
Sn 5.068 0.008 22.567
Sn 5.100 -0.008 11.137
Sn 10.143 0.100 18.753
Sn 10.174 -0.100 7.323
P 2.266 1.239 5.854
P 5.117 2.555 2.034
P 2.234 -1.239 17.285
P 5.086 -2.555 13.464
P 12.368 1.282 21.090
P 12.399 -1.282 9.659
S 5.373 3.050 17.263
S 2.868 1.293 13.460
S 7.639 1.776 5.853
S 2.899 -1.293 2.030
S 7.312 1.262 13.471
S 7.899 1.271 21.099
S 10.122 2.537 9.635
S 7.343 -1.262 2.041
S 7.930 -1.271 9.669
S 5.404 -3.050 5.832
S 7.608 -1.776 17.284
S 10.091 -2.537 21.066
O 1.588 0.677 7.082
O 6.161 3.322 18.454
O 6.431 3.455 2.131
O 1.517 0.613 13.553
O 3.688 1.054 14.638
O 4.954 1.699 3.261
O 3.800 0.978 21.156
O 3.432 0.658 12.207
O 4.947 1.488 9.769
O 5.416 1.725 0.715
O 5.247 1.606 17.068
O 3.657 0.629 5.712
O 1.548 -0.613 2.122
O 7.441 2.777 13.544
O 1.557 -0.677 18.512
O 7.435 2.612 7.024
O 8.963 3.415 9.478
O 7.755 2.718 20.934
O 8.934 3.281 15.958
O 7.906 2.574 4.593
O 6.479 1.113 12.210
O 3.464 -0.658 0.776
O 3.626 -0.629 17.142
O 6.489 0.887 5.680
O 6.661 0.724 14.655
O 6.525 0.631 21.165
O 3.719 -1.054 3.207
O 3.831 -0.978 9.725
O 9.933 1.716 10.821
O 8.695 0.976 22.280
O 8.910 0.953 5.967
O 9.903 1.528 17.337
O 10.374 1.724 8.380
O 8.444 0.624 19.837
O 10.258 1.623 1.860
O 8.633 0.659 13.285
O 4.916 -1.488 21.200
O 6.556 -0.631 9.735
O 4.923 -1.699 14.691
O 6.692 -0.724 3.224
O 6.458 -0.887 17.110
O 5.278 -1.606 5.637
O 5.385 -1.725 12.145
O 6.510 -1.113 0.780
O 11.496 1.145 19.776
O 8.475 -0.624 8.407
O 8.665 -0.659 1.854
O 11.410 0.914 13.313
O 11.578 0.676 5.926
O 8.726 -0.976 10.849
O 11.710 0.696 22.313
O 8.879 -0.953 17.398
O 6.192 -3.322 7.023
O 7.403 -2.612 18.454
O 7.472 -2.777 2.114
O 7.875 -2.574 16.023
O 13.506 0.638 4.587
O 6.400 -3.455 13.561
O 7.786 -2.718 9.503
O 9.934 -1.528 5.907
O 13.752 0.670 20.894
O 11.547 -0.676 17.357
O 9.902 -1.716 22.252
O 11.742 -0.696 10.882
O 11.441 -0.914 1.883
O 10.227 -1.623 13.290
O 10.343 -1.724 19.811
O 11.527 -1.145 8.346
O 13.475 -0.638 16.018
O 8.965 -3.281 4.528
O 8.932 -3.415 20.908
O 13.784 -0.670 9.463
```

Density functional theory data (PBE) for an optimized crystal structure of Bi2O5.

## Properties
Volume   17.65 Å³ per atom
Total DFT energy (no corrections)   -72.53 eV for the cell shown
Energy of formation   -1026 meV per atom
M_tot   0.31 μB per formula unit
Energy above the most stable polymorph in this dataset   0.079 eV per atom
Total energy after the MP2020 corrections   -5.67 eV per atom

```
14
Lattice="4.253 0.000 0.000 0.000 4.169 0.000 -4.221 0.000 13.940" Properties=species:S:1:pos:R:3 pbc="T T T"
Bi -1.043 0.164 5.561
Bi -3.153 4.005 12.531
Bi 3.185 0.164 1.409
Bi 1.075 4.005 8.379
O -3.166 0.226 10.455
O -1.055 3.943 3.485
O -3.201 1.950 12.478
O -1.091 2.218 5.508
O 1.062 0.038 0.821
O -1.049 4.131 7.791
O 1.080 0.038 6.149
O -1.030 4.131 13.119
O 1.123 1.950 8.432
O 3.233 2.218 1.462
```

Density functional theory data (PBE) for an optimized crystal structure of Bi2PO6.

## Properties
Volume   13.79 Å³ per atom
Total DFT energy (no corrections)   -227.45 eV for the cell shown
Energy of formation   -2011 meV per atom
M_tot   0.00 μB per formula unit
Energy above the most stable polymorph in this dataset   0.000 eV per atom
Total energy after the MP2020 corrections   -6.78 eV per atom

```
36
Lattice="7.030 0.000 0.000 0.000 7.053 0.000 -3.285 0.000 10.012" Properties=species:S:1:pos:R:3 pbc="T T T"
Bi -0.307 0.868 3.183
Bi -1.949 2.658 8.189
Bi 0.003 4.252 5.266
Bi 1.646 6.327 0.260
Bi 2.099 0.725 9.752
Bi 3.741 2.801 4.746
Bi 5.694 4.395 1.823
Bi 4.051 6.184 6.829
P 0.400 0.487 6.700
P 2.042 3.040 1.694
P 1.702 4.013 8.318
P 3.345 6.566 3.312
O -1.975 4.022 6.212
O -0.333 6.557 1.206
O -2.279 4.982 8.626
O -0.637 5.598 3.620
O 1.184 4.286 1.280
O -0.459 6.294 6.286
O 0.415 1.460 5.488
O 2.057 2.066 0.482
O -0.278 1.042 7.989
O 1.365 2.484 2.983
O 0.271 3.652 7.870
O 1.913 6.927 2.864
O 1.832 0.125 7.148
O 3.474 3.401 2.142
O 2.380 4.569 7.029
O 4.022 6.011 2.023
O 1.688 4.987 9.530
O 3.330 5.592 4.524
O 4.203 0.759 3.726
O 2.561 2.767 8.732
O 4.381 1.455 6.392
O 6.024 2.071 1.386
O 4.077 0.496 8.806
O 5.720 3.031 3.800
```